(1)
DFT (GGA+U) results for a geometry-optimized Li2CoSi4O10 structure.

Summary:
- calculated volume (Å³/f.u.) = 242
- total moment (μB per formula unit) = 3.00
- polymorph energy (0 for the lowest one) (eV per atom) = 0.000
- formation energy (eV per atom) = -2.86
- crystal system = orthorhombic
- total energy (eV/atom) = -7.187

Cell and atoms, written as POSCAR:
```
Li2CoSi4O10
1.0
9.570 0.000 0.000
0.000 14.534 0.000
0.000 0.000 6.970
Si O Co Li
16 40 4 8
direct
0.452 0.437 0.978 Si
0.120 0.158 0.716 Si
0.092 0.212 0.292 Si
0.937 0.393 0.246 Si
0.063 0.893 0.254 Si
0.563 0.607 0.746 Si
0.048 0.563 0.478 Si
0.620 0.342 0.284 Si
0.548 0.937 0.522 Si
0.408 0.788 0.792 Si
0.437 0.107 0.754 Si
0.952 0.063 0.022 Si
0.908 0.712 0.208 Si
0.592 0.288 0.708 Si
0.880 0.658 0.784 Si
0.380 0.842 0.216 Si
0.509 0.845 0.645 O
0.009 0.655 0.355 O
0.998 0.083 0.793 O
0.738 0.258 0.811 O
0.285 0.452 0.967 O
0.491 0.345 0.855 O
0.992 0.907 0.463 O
0.008 0.407 0.037 O
0.215 0.548 0.467 O
0.500 0.698 0.856 O
0.498 0.417 0.207 O
0.991 0.155 0.145 O
0.000 0.802 0.144 O
0.114 0.147 0.482 O
0.386 0.853 0.982 O
0.044 0.977 0.099 O
0.544 0.523 0.901 O
0.590 0.239 0.213 O
0.238 0.242 0.189 O
0.002 0.583 0.707 O
0.090 0.261 0.787 O
0.230 0.880 0.292 O
0.492 0.593 0.537 O
0.262 0.758 0.689 O
0.000 0.302 0.356 O
0.730 0.620 0.708 O
0.614 0.353 0.518 O
0.508 0.093 0.963 O
0.410 0.739 0.287 O
0.456 0.023 0.599 O
0.270 0.120 0.792 O
0.762 0.742 0.311 O
0.770 0.380 0.208 O
0.500 0.198 0.644 O
0.715 0.952 0.533 O
0.785 0.048 0.033 O
0.910 0.761 0.713 O
0.956 0.477 0.401 O
0.886 0.647 0.018 O
0.502 0.917 0.293 O
0.187 0.332 0.985 Co
0.313 0.668 0.485 Co
0.813 0.832 0.515 Co
0.687 0.168 0.015 Co
0.914 0.319 0.839 Li
0.394 0.488 0.427 Li
0.606 0.988 0.073 Li
0.586 0.681 0.339 Li
0.414 0.181 0.161 Li
0.894 0.012 0.573 Li
0.106 0.512 0.927 Li
0.086 0.819 0.661 Li
```


(2)
DFT (GGA+U) results for a geometry-optimized LiCoSiO4 structure.

Summary:
- calculated volume (Å³/f.u.) = 96
- total moment (μB per formula unit) = 4.00
- polymorph energy (0 for the lowest one) (eV per atom) = 0.063
- formation energy (eV per atom) = -2.29
- maximum piezoelectric response (C/m2) = 1.5
- crystal system = monoclinic
- total energy (eV/atom) = -6.555

Cell and atoms, written as POSCAR:
```
LiCoSiO4
1.0
2.744 4.281 0.000
-2.744 4.281 0.000
0.000 2.504 8.198
Co Si Li O
2 2 2 8
direct
0.897 0.327 0.361 Co
0.327 0.897 0.861 Co
0.256 0.727 0.245 Si
0.727 0.256 0.745 Si
0.709 0.825 0.538 Li
0.825 0.709 0.038 Li
0.033 0.228 0.789 O
0.519 0.611 0.728 O
0.611 0.519 0.228 O
0.228 0.033 0.289 O
0.759 0.161 0.569 O
0.026 0.610 0.386 O
0.161 0.759 0.069 O
0.610 0.026 0.886 O
```


(3)
DFT (GGA+U) results for a geometry-optimized Li2CoSi4O10 structure.

Summary:
- calculated volume (Å³/f.u.) = 236
- total moment (μB per formula unit) = 3.00
- polymorph energy (0 for the lowest one) (eV per atom) = 0.019
- formation energy (eV per atom) = -2.84
- crystal system = monoclinic
- total energy (eV/atom) = -7.167

Cell and atoms, written as POSCAR:
```
Li2CoSi4O10
1.0
-1.544 -7.030 6.919
5.461 -3.558 -2.396
12.831 3.637 6.559
Si Co O Li
16 4 40 8
direct
0.773 0.648 0.364 Si
0.972 0.915 0.832 Si
0.273 0.352 0.136 Si
0.766 0.212 0.042 Si
0.053 0.666 0.338 Si
0.028 0.085 0.168 Si
0.234 0.788 0.958 Si
0.447 0.666 0.838 Si
0.266 0.788 0.458 Si
0.947 0.334 0.662 Si
0.528 0.915 0.332 Si
0.727 0.648 0.864 Si
0.553 0.334 0.162 Si
0.227 0.352 0.636 Si
0.734 0.212 0.542 Si
0.472 0.085 0.668 Si
0.864 0.790 0.662 Co
0.136 0.210 0.338 Co
0.636 0.790 0.162 Co
0.364 0.210 0.838 Co
0.304 0.702 0.881 O
0.449 0.830 0.721 O
0.177 0.177 0.118 O
0.422 0.280 0.105 O
0.949 0.170 0.779 O
0.322 0.979 0.965 O
0.719 0.662 0.753 O
0.512 0.184 0.747 O
0.551 0.170 0.279 O
0.527 0.569 0.151 O
0.281 0.338 0.247 O
0.196 0.702 0.381 O
0.178 0.979 0.465 O
0.678 0.021 0.035 O
0.027 0.431 0.349 O
0.775 0.412 0.935 O
0.473 0.431 0.849 O
0.922 0.720 0.395 O
0.781 0.662 0.253 O
0.488 0.816 0.253 O
0.012 0.816 0.753 O
0.578 0.720 0.895 O
0.323 0.177 0.618 O
0.078 0.280 0.605 O
0.581 0.140 0.579 O
0.677 0.823 0.382 O
0.823 0.823 0.882 O
0.804 0.298 0.619 O
0.919 0.140 0.079 O
0.275 0.588 0.565 O
0.725 0.412 0.435 O
0.988 0.184 0.247 O
0.696 0.298 0.119 O
0.973 0.569 0.651 O
0.219 0.338 0.747 O
0.419 0.860 0.421 O
0.051 0.830 0.221 O
0.081 0.860 0.921 O
0.822 0.021 0.535 O
0.225 0.588 0.065 O
0.910 0.455 0.239 Li
0.141 0.030 0.581 Li
0.859 0.970 0.419 Li
0.359 0.030 0.081 Li
0.590 0.455 0.739 Li
0.410 0.545 0.261 Li
0.641 0.970 0.919 Li
0.090 0.545 0.761 Li
```


(4)
DFT (GGA+U) results for a geometry-optimized LiCoSiO4 structure.

Summary:
- calculated volume (Å³/f.u.) = 85
- total moment (μB per formula unit) = 4.00
- polymorph energy (0 for the lowest one) (eV per atom) = 0.034
- formation energy (eV per atom) = -2.32
- crystal system = trigonal
- total energy (eV/atom) = -6.584

Cell and atoms, written as POSCAR:
```
LiCoSiO4
1.0
-1.768 -3.723 7.448
-2.712 -5.239 -6.137
8.477 0.447 -0.639
Si O Li Co
6 24 6 6
direct
0.905 0.133 0.730 Si
0.867 0.270 0.095 Si
0.095 0.867 0.270 Si
0.270 0.095 0.867 Si
0.730 0.905 0.133 Si
0.133 0.730 0.905 Si
0.947 0.960 0.263 O
0.614 0.928 0.251 O
0.702 0.659 0.362 O
0.298 0.341 0.638 O
0.973 0.641 0.700 O
0.960 0.263 0.947 O
0.053 0.040 0.737 O
0.659 0.362 0.702 O
0.359 0.300 0.027 O
0.251 0.614 0.928 O
0.749 0.386 0.072 O
0.386 0.072 0.749 O
0.928 0.251 0.614 O
0.641 0.700 0.973 O
0.027 0.359 0.300 O
0.362 0.702 0.659 O
0.341 0.638 0.298 O
0.300 0.027 0.359 O
0.638 0.298 0.341 O
0.072 0.749 0.386 O
0.263 0.947 0.960 O
0.700 0.973 0.641 O
0.040 0.737 0.053 O
0.737 0.053 0.040 O
0.228 0.456 0.055 Li
0.544 0.945 0.772 Li
0.772 0.544 0.945 Li
0.456 0.055 0.228 Li
0.945 0.772 0.544 Li
0.055 0.228 0.456 Li
0.568 0.801 0.396 Co
0.801 0.396 0.568 Co
0.396 0.568 0.801 Co
0.199 0.604 0.432 Co
0.604 0.432 0.199 Co
0.432 0.199 0.604 Co
```